Arrangement P

CsYb3 | meta-GGA r2SCAN | optimized geometry

- calculated volume (Å³ per atom) = 36.12

The structure in CIF format:
```
data_CsYb3
_chemical_formula_sum 'Cs2 Yb6'
_cell_length_a 5.3444
_cell_length_b 5.3444
_cell_length_c 10.1165
_cell_angle_alpha 90.00
_cell_angle_beta 90.00
_cell_angle_gamma 90.00
_symmetry_space_group_name_H-M 'I 4/m m m'
_symmetry_Int_Tables_number 139
_symmetry_space_group_name_Hall '-I 4 2'
loop_
_atom_site_label
_atom_site_type_symbol
_atom_site_fract_x
_atom_site_fract_y
_atom_site_fract_z
Cs1 Cs 0.0000 0.0000 0.0000
Yb1 Yb 0.0000 0.0000 0.5000
Yb2 Yb 0.0000 0.5000 0.2500
```


Arrangement Q

CsYb3 | meta-GGA r2SCAN | optimized geometry

- calculated volume (Å³ per atom) = 35.83

The structure in CIF format:
```
data_CsYb3
_chemical_formula_sum 'Cs4 Yb12'
_cell_length_a 8.3071
_cell_length_b 8.3071
_cell_length_c 8.3071
_cell_angle_alpha 90.00
_cell_angle_beta 90.00
_cell_angle_gamma 90.00
_symmetry_space_group_name_H-M 'F m -3 m'
_symmetry_Int_Tables_number 225
_symmetry_space_group_name_Hall '-F 4 2 3'
loop_
_atom_site_label
_atom_site_type_symbol
_atom_site_fract_x
_atom_site_fract_y
_atom_site_fract_z
Cs1 Cs 0.0000 0.0000 0.0000
Yb1 Yb 0.0000 0.0000 0.5000
Yb2 Yb 0.2500 0.2500 0.2500
```


Arrangement R

CsYb3 | meta-GGA r2SCAN | optimized geometry

- calculated volume (Å³ per atom) = 36.48

The structure in CIF format:
```
data_CsYb3
_chemical_formula_sum 'Cs1 Yb3'
_cell_length_a 5.2645
_cell_length_b 5.2645
_cell_length_c 5.2645
_cell_angle_alpha 90.00
_cell_angle_beta 90.00
_cell_angle_gamma 90.00
_symmetry_space_group_name_H-M 'P m -3 m'
_symmetry_Int_Tables_number 221
_symmetry_space_group_name_Hall '-P 4 2 3'
loop_
_atom_site_label
_atom_site_type_symbol
_atom_site_fract_x
_atom_site_fract_y
_atom_site_fract_z
Cs1 Cs 0.0000 0.0000 0.0000
Yb1 Yb 0.0000 0.5000 0.5000
```


It is arrangement P that is the most stable of them.


Arrangement P

CuSnF6 | meta-GGA r2SCAN | optimized geometry

- calculated volume (Å³ per atom) = 12.92

The structure in CIF format:
```
data_CuSnF6
_chemical_formula_sum 'Cu1 Sn1 F6'
_cell_length_a 4.9895
_cell_length_b 5.0410
_cell_length_c 5.3970
_cell_angle_alpha 63.57
_cell_angle_beta 89.79
_cell_angle_gamma 61.79
_symmetry_space_group_name_H-M 'P -1'
_symmetry_Int_Tables_number 2
loop_
_symmetry_equiv_pos_as_xyz
'x,y,z'
'-x,-y,-z'
loop_
_atom_site_label
_atom_site_type_symbol
_atom_site_fract_x
_atom_site_fract_y
_atom_site_fract_z
Cu1 Cu 0.0000 0.0000 0.0000
Sn1 Sn 0.5000 0.0000 0.5000
F1 F 0.1130 0.1309 0.2491
F2 F 0.2452 0.1418 0.7541
F3 F 0.4073 0.4739 0.2638
```


Arrangement Q

CuSnF6 | meta-GGA r2SCAN | optimized geometry

- calculated volume (Å³ per atom) = 13.28

The structure in CIF format:
```
data_CuSnF6
_chemical_formula_sum 'Cu3 Sn3 F18'
_cell_length_a 5.1732
_cell_length_b 5.1732
_cell_length_c 13.7559
_cell_angle_alpha 90.00
_cell_angle_beta 90.00
_cell_angle_gamma 120.00
_symmetry_space_group_name_H-M 'R -3'
_symmetry_Int_Tables_number 148
_symmetry_space_group_name_Hall '-R 3'
loop_
_atom_site_label
_atom_site_type_symbol
_atom_site_fract_x
_atom_site_fract_y
_atom_site_fract_z
Cu1 Cu 0.0000 0.0000 0.0000
Sn1 Sn 0.0000 0.0000 0.5000
F1 F 0.0008 0.3765 0.2496
```


It is arrangement P that is the most stable of them.


Arrangement P

Sm2Ga3Cu | meta-GGA r2SCAN | optimized geometry

- calculated volume (Å³ per atom) = 20.73

The structure in CIF format:
```
data_Sm2Ga3Cu
_chemical_formula_sum 'Sm2 Ga3 Cu1'
_cell_length_a 4.3777
_cell_length_b 4.3777
_cell_length_c 7.4956
_cell_angle_alpha 90.00
_cell_angle_beta 90.00
_cell_angle_gamma 120.00
_symmetry_space_group_name_H-M 'P 3 m 1'
_symmetry_Int_Tables_number 156
loop_
_symmetry_equiv_pos_as_xyz
'x,y,z'
'-y,x-y,z'
'-x+y,-x,z'
'-y,-x,z'
'-x+y,y,z'
'x,x-y,z'
loop_
_atom_site_label
_atom_site_type_symbol
_atom_site_fract_x
_atom_site_fract_y
_atom_site_fract_z
Sm1 Sm 0.0000 0.0000 0.0000
Sm2 Sm 0.0000 0.0000 0.4685
Ga1 Ga 0.3333 0.6667 0.2180
Ga2 Ga 0.3333 0.6667 0.7784
Ga3 Ga 0.6667 0.3333 0.6930
Cu1 Cu 0.6667 0.3333 0.2641
```


Arrangement Q

Sm2Ga3Cu | meta-GGA r2SCAN | optimized geometry

- calculated volume (Å³ per atom) = 20.72

The structure in CIF format:
```
data_Sm2Ga3Cu
_chemical_formula_sum 'Sm2 Ga3 Cu1'
_cell_length_a 3.7810
_cell_length_b 4.3547
_cell_length_c 7.5501
_cell_angle_alpha 90.00
_cell_angle_beta 90.00
_cell_angle_gamma 90.00
_symmetry_space_group_name_H-M 'P m m 2'
_symmetry_Int_Tables_number 25
loop_
_symmetry_equiv_pos_as_xyz
'x,y,z'
'-x,-y,z'
'-x,y,z'
'x,-y,z'
loop_
_atom_site_label
_atom_site_type_symbol
_atom_site_fract_x
_atom_site_fract_y
_atom_site_fract_z
Sm1 Sm 0.0000 0.0000 0.0000
Sm2 Sm 0.0000 0.5000 0.4934
Ga1 Ga 0.5000 0.0000 0.6541
Ga2 Ga 0.5000 0.5000 0.1713
Ga3 Ga 0.5000 0.5000 0.8323
Cu1 Cu 0.5000 0.0000 0.3271
```


It is arrangement P that is the most stable of them.


Arrangement P

MgCu2O4 | meta-GGA r2SCAN | optimized geometry

- calculated volume (Å³ per atom) = 9.69

The structure in CIF format:
```
data_MgCu2O4
_chemical_formula_sum 'Mg4 Cu8 O16'
_cell_length_a 3.0432
_cell_length_b 9.8367
_cell_length_c 9.0674
_cell_angle_alpha 90.00
_cell_angle_beta 90.00
_cell_angle_gamma 90.00
_symmetry_space_group_name_H-M 'P b c m'
_symmetry_Int_Tables_number 57
loop_
_symmetry_equiv_pos_as_xyz
'x,y,z'
'-x,-y,-z'
'-x,-y,z+1/2'
'x,y,-z+1/2'
'x,-y+1/2,-z'
'-x,y+1/2,z'
'-x,y+1/2,-z+1/2'
'x,-y+1/2,z+1/2'
loop_
_atom_site_label
_atom_site_type_symbol
_atom_site_fract_x
_atom_site_fract_y
_atom_site_fract_z
Mg1 Mg 0.1241 0.1508 0.2500
Cu1 Cu 0.3469 0.6151 0.5698
O1 O 0.0074 0.2500 0.0000
O2 O 0.3652 0.5440 0.1169
O3 O 0.3711 0.7013 0.7500
```


Arrangement Q

MgCu2O4 | meta-GGA r2SCAN | optimized geometry

- calculated volume (Å³ per atom) = 11.20

The structure in CIF format:
```
data_MgCu2O4
_chemical_formula_sum 'Mg4 Cu8 O16'
_cell_length_a 5.4174
_cell_length_b 5.4174
_cell_length_c 10.6876
_cell_angle_alpha 90.00
_cell_angle_beta 90.00
_cell_angle_gamma 90.00
_symmetry_space_group_name_H-M 'I 41/a m d'
_symmetry_Int_Tables_number 141
loop_
_symmetry_equiv_pos_as_xyz
'x,y,z'
'-x,-y,-z'
'-y+1/4,x+3/4,z+1/4'
'y+1/4,-x+3/4,-z+1/4'
'-x+1/2,-y,z+1/2'
'x+1/2,y,-z+1/2'
'y+1/4,-x+1/4,z+3/4'
'-y+1/4,x+1/4,-z+3/4'
'x,-y,-z'
'-x,y,z'
'-y+1/4,-x+1/4,-z+3/4'
'y+1/4,x+1/4,z+3/4'
'-x+1/2,y,-z+1/2'
'x+1/2,-y,z+1/2'
'y+1/4,x+3/4,-z+1/4'
'-y+1/4,-x+3/4,z+1/4'
'x+1/2,y+1/2,z+1/2'
'-x+1/2,-y+1/2,-z+1/2'
'-y+3/4,x+1/4,z+3/4'
'y+3/4,-x+1/4,-z+3/4'
'-x,-y+1/2,z'
'x,y+1/2,-z'
'y+3/4,-x+3/4,z+1/4'
'-y+3/4,x+3/4,-z+1/4'
'x+1/2,-y+1/2,-z+1/2'
'-x+1/2,y+1/2,z+1/2'
'-y+3/4,-x+3/4,-z+1/4'
'y+3/4,x+3/4,z+1/4'
'-x,y+1/2,-z'
'x,-y+1/2,z'
'y+3/4,x+1/4,-z+3/4'
'-y+3/4,-x+1/4,z+3/4'
loop_
_atom_site_label
_atom_site_type_symbol
_atom_site_fract_x
_atom_site_fract_y
_atom_site_fract_z
Mg1 Mg 0.0000 0.2500 0.3750
Cu1 Cu 0.0000 0.0000 0.0000
O1 O 0.0000 0.0238 0.7473
```


It is arrangement P that is the most stable of them.


Arrangement P

Cu5Sn4 | meta-GGA r2SCAN | optimized geometry

- calculated volume (Å³ per atom) = 17.48

The structure in CIF format:
```
data_Cu5Sn4
_chemical_formula_sum 'Cu20 Sn16'
_cell_length_a 9.8490
_cell_length_b 7.3585
_cell_length_c 9.8058
_cell_angle_alpha 90.00
_cell_angle_beta 117.66
_cell_angle_gamma 90.00
_symmetry_space_group_name_H-M 'P 1 21/c 1'
_symmetry_Int_Tables_number 14
loop_
_symmetry_equiv_pos_as_xyz
'x,y,z'
'-x,-y,-z'
'-x,y+1/2,-z+1/2'
'x,-y+1/2,z+1/2'
loop_
_atom_site_label
_atom_site_type_symbol
_atom_site_fract_x
_atom_site_fract_y
_atom_site_fract_z
Cu1 Cu 0.0585 0.2244 0.4424
Cu2 Cu 0.1897 0.7450 0.3125
Cu3 Cu 0.1909 0.5905 0.0624
Cu4 Cu 0.3158 0.2241 0.6843
Cu5 Cu 0.4295 0.7432 0.5672
Sn1 Sn 0.0710 0.0950 0.7148
Sn2 Sn 0.1841 0.5518 0.5642
Sn3 Sn 0.3238 0.0840 0.4231
Sn4 Sn 0.4570 0.5923 0.3307
```


Arrangement Q

Cu5Sn4 | meta-GGA r2SCAN | optimized geometry

- calculated volume (Å³ per atom) = 17.45

The structure in CIF format:
```
data_Cu5Sn4
_chemical_formula_sum 'Cu30 Sn24'
_cell_length_a 12.7064
_cell_length_b 7.3178
_cell_length_c 10.1321
_cell_angle_alpha 90.00
_cell_angle_beta 90.66
_cell_angle_gamma 90.00
_symmetry_space_group_name_H-M 'C 1 2 1'
_symmetry_Int_Tables_number 5
loop_
_symmetry_equiv_pos_as_xyz
'x,y,z'
'-x,y,-z'
'x+1/2,y+1/2,z'
'-x+1/2,y+1/2,-z'
loop_
_atom_site_label
_atom_site_type_symbol
_atom_site_fract_x
_atom_site_fract_y
_atom_site_fract_z
Cu1 Cu 0.0000 0.0000 0.0000
Cu2 Cu 0.0072 0.3188 0.8737
Cu3 Cu 0.0077 0.3359 0.6229
Cu4 Cu 0.1605 0.8616 0.8736
Cu5 Cu 0.1657 0.8394 0.1258
Cu6 Cu 0.1680 0.8552 0.6228
Cu7 Cu 0.1702 0.1768 0.7493
Cu8 Cu 0.1741 0.8331 0.3769
Sn1 Sn 0.0000 0.6437 0.0000
Sn2 Sn 0.0000 0.6706 0.5000
Sn3 Sn 0.0091 0.9915 0.2692
Sn4 Sn 0.1510 0.4984 0.2489
Sn5 Sn 0.1643 0.5336 0.7516
Sn6 Sn 0.1684 0.1765 0.4801
Sn7 Sn 0.1787 0.1851 0.0193
```


It is arrangement P that is the most stable of them.


Arrangement P

Dy2Se3O12 | meta-GGA r2SCAN | optimized geometry

- calculated volume (Å³ per atom) = 12.60

The structure in CIF format:
```
data_Dy2Se3O12
_chemical_formula_sum 'Dy8 Se12 O48'
_cell_length_a 7.0472
_cell_length_b 11.4706
_cell_length_c 11.1687
_cell_angle_alpha 90.00
_cell_angle_beta 108.34
_cell_angle_gamma 90.00
_symmetry_space_group_name_H-M 'C 1 2/c 1'
_symmetry_Int_Tables_number 15
loop_
_symmetry_equiv_pos_as_xyz
'x,y,z'
'-x,-y,-z'
'-x,y,-z+1/2'
'x,-y,z+1/2'
'x+1/2,y+1/2,z'
'-x+1/2,-y+1/2,-z'
'-x+1/2,y+1/2,-z+1/2'
'x+1/2,-y+1/2,z+1/2'
loop_
_atom_site_label
_atom_site_type_symbol
_atom_site_fract_x
_atom_site_fract_y
_atom_site_fract_z
Dy1 Dy 0.1751 0.1249 0.0935
Se1 Se 0.0000 0.1321 0.7500
Se2 Se 0.1674 0.3802 0.5761
O1 O 0.0067 0.0522 0.8771
O2 O 0.0437 0.3006 0.9569
O3 O 0.1239 0.1954 0.3937
O4 O 0.1546 0.4660 0.4567
O5 O 0.1821 0.4460 0.7102
O6 O 0.2063 0.2088 0.7884
```


Arrangement Q

Dy2Se3O12 | meta-GGA r2SCAN | optimized geometry

- calculated volume (Å³ per atom) = 17.97

The structure in CIF format:
```
data_Dy2Se3O12
_chemical_formula_sum 'Dy8 Se12 O48'
_cell_length_a 13.1461
_cell_length_b 9.6102
_cell_length_c 9.6735
_cell_angle_alpha 90.00
_cell_angle_beta 90.00
_cell_angle_gamma 90.00
_symmetry_space_group_name_H-M 'P b c n'
_symmetry_Int_Tables_number 60
loop_
_symmetry_equiv_pos_as_xyz
'x,y,z'
'-x,-y,-z'
'-x+1/2,-y+1/2,z+1/2'
'x+1/2,y+1/2,-z+1/2'
'x+1/2,-y+1/2,-z'
'-x+1/2,y+1/2,z'
'-x,y,-z+1/2'
'x,-y,z+1/2'
loop_
_atom_site_label
_atom_site_type_symbol
_atom_site_fract_x
_atom_site_fract_y
_atom_site_fract_z
Dy1 Dy 0.1205 0.2498 0.0389
Se1 Se 0.0000 0.0330 0.7500
Se2 Se 0.1463 0.3978 0.3850
O1 O 0.0302 0.3422 0.4131
O2 O 0.0605 0.1319 0.8604
O3 O 0.0838 0.0646 0.1701
O4 O 0.1510 0.4327 0.9020
O5 O 0.1819 0.3572 0.2274
O6 O 0.2222 0.3247 0.4985
```


It is arrangement Q that is the most stable of them.


Arrangement P

PmDy3 | meta-GGA r2SCAN | optimized geometry

- calculated volume (Å³ per atom) = 32.27

The structure in CIF format:
```
data_PmDy3
_chemical_formula_sum 'Pm2 Dy6'
_cell_length_a 5.0569
_cell_length_b 5.0569
_cell_length_c 10.0954
_cell_angle_alpha 90.00
_cell_angle_beta 90.00
_cell_angle_gamma 90.00
_symmetry_space_group_name_H-M 'I 4/m m m'
_symmetry_Int_Tables_number 139
_symmetry_space_group_name_Hall '-I 4 2'
loop_
_atom_site_label
_atom_site_type_symbol
_atom_site_fract_x
_atom_site_fract_y
_atom_site_fract_z
Pm1 Pm 0.0000 0.0000 0.0000
Dy1 Dy 0.0000 0.0000 0.5000
Dy2 Dy 0.0000 0.5000 0.2500
```


Arrangement Q

PmDy3 | meta-GGA r2SCAN | optimized geometry

- calculated volume (Å³ per atom) = 32.68

The structure in CIF format:
```
data_PmDy3
_chemical_formula_sum 'Pm2 Dy6'
_cell_length_a 7.2860
_cell_length_b 7.2860
_cell_length_c 5.6870
_cell_angle_alpha 90.00
_cell_angle_beta 90.00
_cell_angle_gamma 120.00
_symmetry_space_group_name_H-M 'P 63/m m c'
_symmetry_Int_Tables_number 194
_symmetry_space_group_name_Hall '-P 6c 2c'
loop_
_atom_site_label
_atom_site_type_symbol
_atom_site_fract_x
_atom_site_fract_y
_atom_site_fract_z
Pm1 Pm 0.3333 0.6667 0.2500
Dy1 Dy 0.1659 0.3317 0.7500
```


It is arrangement Q that is the most stable of them.


Arrangement P

Pm3Dy | meta-GGA r2SCAN | optimized geometry

- calculated volume (Å³ per atom) = 34.29

The structure in CIF format:
```
data_Pm3Dy
_chemical_formula_sum 'Pm6 Dy2'
_cell_length_a 7.4005
_cell_length_b 7.4005
_cell_length_c 5.7845
_cell_angle_alpha 90.00
_cell_angle_beta 90.00
_cell_angle_gamma 120.00
_symmetry_space_group_name_H-M 'P 63/m m c'
_symmetry_Int_Tables_number 194
_symmetry_space_group_name_Hall '-P 6c 2c'
loop_
_atom_site_label
_atom_site_type_symbol
_atom_site_fract_x
_atom_site_fract_y
_atom_site_fract_z
Pm1 Pm 0.1672 0.3343 0.2500
Dy1 Dy 0.3333 0.6667 0.7500
```


Arrangement Q

Pm3Dy | meta-GGA r2SCAN | optimized geometry

- calculated volume (Å³ per atom) = 33.77

The structure in CIF format:
```
data_Pm3Dy
_chemical_formula_sum 'Pm3 Dy1'
_cell_length_a 5.1311
_cell_length_b 5.1311
_cell_length_c 5.1311
_cell_angle_alpha 90.00
_cell_angle_beta 90.00
_cell_angle_gamma 90.00
_symmetry_space_group_name_H-M 'P m -3 m'
_symmetry_Int_Tables_number 221
_symmetry_space_group_name_Hall '-P 4 2 3'
loop_
_atom_site_label
_atom_site_type_symbol
_atom_site_fract_x
_atom_site_fract_y
_atom_site_fract_z
Pm1 Pm 0.0000 0.0000 0.5000
Dy1 Dy 0.5000 0.5000 0.5000
```


It is arrangement P that is the most stable of them.